Entry 1:
# Mo3H9I3Cl4O4, relaxed, DFT PBE with a Hubbard U
data_Mo3H9I3Cl4O4
_space_group_name_H-M_alt 'P 1 21/c 1'
_space_group_IT_number 14
_space_group_name_Hall '-P 2ybc'
_cell_length_a 9.9155
_cell_length_b 10.2397
_cell_length_c 18.5930
_cell_angle_alpha 90.00
_cell_angle_beta 99.25
_cell_angle_gamma 90.00
loop_
_atom_site_label
_atom_site_type_symbol
_atom_site_fract_x
_atom_site_fract_y
_atom_site_fract_z
Mo1 Mo 0.0355 0.0028 0.1137
Mo2 Mo 0.0939 0.1825 0.9983
Mo3 Mo 0.1706 0.5833 0.4998
H1 H 0.1925 0.0480 0.7205
H2 H 0.2484 0.0830 0.6488
H3 H 0.2632 0.6859 0.7903
H4 H 0.3566 0.7329 0.3512
H5 H 0.3637 0.0792 0.3804
H6 H 0.3918 0.1705 0.7457
H7 H 0.4461 0.7338 0.7592
H8 H 0.4553 0.2013 0.3025
H9 H 0.4802 0.5588 0.1113
I1 I 0.0782 0.0142 0.2679
I2 I 0.2205 0.0688 0.5009
I3 I 0.4202 0.7103 0.4923
Cl1 Cl 0.0437 0.7381 0.4027
Cl2 Cl 0.1074 0.7333 0.6010
Cl3 Cl 0.2079 0.0808 0.8991
Cl4 Cl 0.2702 0.0835 0.0982
O1 O 0.2744 0.0795 0.7022
O2 O 0.3323 0.7439 0.2977
O3 O 0.4386 0.0748 0.3518
O4 O 0.4753 0.2184 0.7728
# Total DFT energy (no corrections)   -4.29 eV/atom
# Energy of formation from the pure elements   -16.1 eV/f.u.
# Spin magnetization   0.00 μB per atom

=====

Entry 2:
# Ca3Si4Ni2O14, relaxed, DFT PBE with a Hubbard U
data_Ca3Si4Ni2O14
_space_group_name_H-M_alt 'C 1 2/c 1'
_space_group_IT_number 15
_space_group_name_Hall '-C 2yc'
_cell_length_a 16.9049
_cell_length_b 7.5981
_cell_length_c 10.0432
_cell_angle_alpha 90.00
_cell_angle_beta 123.06
_cell_angle_gamma 90.00
loop_
_atom_site_label
_atom_site_type_symbol
_atom_site_fract_x
_atom_site_fract_y
_atom_site_fract_z
Ca1 Ca 0.0000 0.1569 0.2500
Ca2 Ca 0.1955 0.4694 0.4581
Si1 Si 0.1251 0.1657 0.6475
Si2 Si 0.1751 0.2105 0.1563
Ni1 Ni 0.0000 0.2862 0.7500
Ni2 Ni 0.0000 0.5000 0.0000
O1 O 0.0514 0.0981 0.6907
O2 O 0.0642 0.4601 0.7159
O3 O 0.0841 0.2984 0.4969
O4 O 0.1008 0.3411 0.0158
O5 O 0.1638 0.0051 0.0913
O6 O 0.1810 0.2114 0.3214
O7 O 0.2220 0.2302 0.8186
# Total DFT energy (no corrections)   -6.91 eV/atom
# Energy of formation from the pure elements   -65.2 eV/f.u.
# Spin magnetization   0.17 μB per atom

=====

Entry 3:
# FeOF, relaxed, DFT PBE with a Hubbard U
data_FeOF
_space_group_name_H-M_alt 'P 1 m 1'
_space_group_IT_number 6
_space_group_name_Hall 'P -2y'
_cell_length_a 14.2108
_cell_length_b 3.0895
_cell_length_c 14.2432
_cell_angle_alpha 90.00
_cell_angle_beta 90.39
_cell_angle_gamma 90.00
loop_
_atom_site_label
_atom_site_type_symbol
_atom_site_fract_x
_atom_site_fract_y
_atom_site_fract_z
Fe1 Fe 0.0000 0.0000 0.0000
Fe2 Fe 0.0010 0.0000 0.6513
Fe3 Fe 0.1690 0.5000 0.1421
Fe4 Fe 0.1867 0.5000 0.8271
Fe5 Fe 0.1954 0.5000 0.4824
Fe6 Fe 0.3258 0.0000 0.6582
Fe7 Fe 0.3279 0.0000 0.9944
Fe8 Fe 0.3437 0.0000 0.3209
Fe9 Fe 0.5056 0.5000 0.1701
Fe10 Fe 0.5180 0.5000 0.8261
Fe11 Fe 0.5243 0.5000 0.4970
Fe12 Fe 0.6579 0.0000 0.3238
Fe13 Fe 0.6656 0.0000 0.6658
Fe14 Fe 0.6716 0.0000 0.9804
Fe15 Fe 0.8195 0.5000 0.8228
Fe16 Fe 0.8492 0.5000 0.4926
Fe17 Fe 0.8509 0.5000 0.1588
Fe18 Fe 0.9930 0.0000 0.3272
O1 O 0.1045 0.0000 0.0888
O2 O 0.2355 0.0000 0.8902
O3 O 0.2370 0.0000 0.5537
O4 O 0.2728 0.5000 0.7225
O5 O 0.2776 0.5000 0.0596
O6 O 0.2781 0.5000 0.3816
O7 O 0.4037 0.5000 0.2559
O8 O 0.5667 0.0000 0.8926
O9 O 0.5741 0.0000 0.2169
O10 O 0.5755 0.0000 0.5594
O11 O 0.6079 0.5000 0.7252
O12 O 0.6095 0.5000 0.3891
O13 O 0.7384 0.5000 0.9300
O14 O 0.7776 0.0000 0.7533
O15 O 0.9057 0.0000 0.2212
O16 O 0.9058 0.0000 0.5599
O17 O 0.9334 0.5000 0.0489
O18 O 0.9403 0.5000 0.3919
F1 F 0.0670 0.5000 0.9185
F2 F 0.0700 0.5000 0.5935
F3 F 0.0726 0.5000 0.2630
F4 F 0.1022 0.0000 0.7545
F5 F 0.1067 0.0000 0.4260
F6 F 0.2309 0.0000 0.2197
F7 F 0.4026 0.5000 0.9242
F8 F 0.4049 0.5000 0.5936
F9 F 0.4389 0.0000 0.7571
F10 F 0.4443 0.0000 0.0847
F11 F 0.4440 0.0000 0.4317
F12 F 0.6061 0.5000 0.0547
F13 F 0.7397 0.5000 0.2595
F14 F 0.7403 0.5000 0.5881
F15 F 0.7677 0.0000 0.0977
F16 F 0.7759 0.0000 0.4252
F17 F 0.9074 0.0000 0.8814
F18 F 0.9464 0.5000 0.7229
# Total DFT energy (no corrections)   -6.02 eV/atom
# Energy of formation from the pure elements   -6.1 eV/f.u.
# Spin magnetization   1.67 μB per atom

=====

Entry 4:
# MoO2, relaxed, DFT PBE with a Hubbard U
data_MoO2
_space_group_name_H-M_alt 'C m c m'
_space_group_IT_number 63
_space_group_name_Hall '-C 2c 2'
_cell_length_a 3.1898
_cell_length_b 10.0538
_cell_length_c 10.5039
_cell_angle_alpha 90.00
_cell_angle_beta 90.00
_cell_angle_gamma 90.00
loop_
_atom_site_label
_atom_site_type_symbol
_atom_site_fract_x
_atom_site_fract_y
_atom_site_fract_z
Mo1 Mo 0.0000 0.1331 0.0751
O1 O 0.0000 0.0800 0.2500
O2 O 0.0000 0.2396 0.5975
O3 O 0.0000 0.5000 0.0000
# Total DFT energy (no corrections)   -7.16 eV/atom
# Energy of formation from the pure elements   -5.3 eV/f.u.
# Spin magnetization   0.67 μB per atom

=====

Q: Which value of spin magnetization does entry 4 give?
A: 0.67 μB per atom

=====

Q: Which value of energy of formation from the pure elements does entry 4 give?
A: -5.3 eV/f.u.

=====

Q: Among the records above, which one has the highest total DFT energy (no corrections)?
A: Mo3H9I3Cl4O4

=====

Q: Among the records above, which one has the highest energy of formation from the pure elements?
A: MoO2